[1]
Computed, not measured: a relaxed structure of LuSiAg at the PBE-GGA level of DFT.

abc: 6.966 6.966 4.122
angles: 90.00 90.00 120.00
Sites, in units of the cell vectors:
Si  0.333  0.667  0.000
Ag  0.251  0.000  0.000
Ag  0.000  0.251  0.000
Lu  0.421  0.421  0.500
Lu  0.579  0.000  0.500
Lu  0.000  0.579  0.500
Si  0.000  0.000  0.500
Si  0.667  0.333  0.000
Ag  0.749  0.749  0.000

Output
Final energy = -4.83 eV per atom
Space-group type = No. 189
Calculated formation energy = -0.57 eV/atom

[2]
Computed, not measured: a relaxed structure of Lu2TlAg at the PBE-GGA level of DFT.

abc: 5.169 5.169 5.169
angles: 60.00 60.00 60.00
Sites, in units of the cell vectors:
Lu  0.250  0.250  0.250
Tl  0.000  0.000  0.000
Ag  0.500  0.500  0.500
Lu  0.750  0.750  0.750

Output
Final energy = -3.88 eV per atom
Space-group type = No. 225
Calculated formation energy = -0.32 eV/atom

[3]
Computed, not measured: a relaxed structure of MgAg3 at the PBE-GGA level of DFT.

abc: 5.170 5.170 5.170
angles: 133.19 133.19 68.36
Sites, in units of the cell vectors:
Mg  0.000  0.000  0.000
Ag  0.750  0.250  0.500
Ag  0.250  0.750  0.500
Ag  0.500  0.500  0.000

Output
Final energy = -2.68 eV per atom
Space-group type = No. 139
Polymorph energy (0 for the lowest one) = 0.002 eV per atom
Calculated formation energy = -0.16 eV/atom

[4]
Computed, not measured: a relaxed structure of Mg5Ag at the PBE-GGA level of DFT.

abc: 5.393 5.393 4.993
angles: 90.00 90.00 120.00
Sites, in units of the cell vectors:
Mg  0.333  0.667  0.000
Mg  0.323  0.000  0.500
Ag  0.000  0.000  0.000
Mg  0.677  0.677  0.500
Mg  0.667  0.333  0.000
Mg  0.000  0.323  0.500

Output
Final energy = -1.88 eV per atom
Space-group type = No. 189
Calculated formation energy = -0.07 eV/atom

[5]
Computed, not measured: a relaxed structure of MgAg3 at the PBE-GGA level of DFT.

abc: 9.458 9.458 9.458
angles: 18.49 18.49 18.49
Sites, in units of the cell vectors:
Ag  0.251  0.251  0.251
Mg  0.000  0.000  0.000
Ag  0.749  0.749  0.749
Ag  0.500  0.500  0.500

Output
Final energy = -2.58 eV per atom
Space-group type = No. 166
Polymorph energy (0 for the lowest one) = 0.107 eV per atom
Spin magnetization = 0.00 μB per formula unit
Calculated formation energy = -0.05 eV/atom

[6]
Computed, not measured: a relaxed structure of Mg5Ag at the PBE-GGA level of DFT.

abc: 5.868 5.868 7.267
angles: 75.89 75.89 31.85
Sites, in units of the cell vectors:
Mg  0.319  0.319  0.335
Mg  0.281  0.281  0.944
Mg  0.665  0.665  0.671
Mg  0.953  0.953  0.588
Ag  0.610  0.610  0.278
Mg  0.004  0.004  0.018

Output
Final energy = -1.87 eV per atom
Space-group type = No. 8
Calculated formation energy = -0.06 eV/atom

[7]
Computed, not measured: a relaxed structure of Mg5Ag at the PBE-GGA level of DFT.

abc: 8.212 8.212 4.996
angles: 90.00 90.00 157.73
Sites, in units of the cell vectors:
Mg  0.671  0.329  0.500
Ag  0.223  0.777  0.000
Mg  0.999  0.001  0.500
Mg  0.881  0.119  0.000
Mg  0.561  0.439  0.000
Mg  0.332  0.668  0.500

Output
Final energy = -1.89 eV per atom
Space-group type = No. 38
Calculated formation energy = -0.09 eV/atom

[8]
Computed, not measured: a relaxed structure of Mg26Ag7 at the PBE-GGA level of DFT.

abc: 12.521 12.521 12.521
angles: 60.00 60.00 60.00
Sites, in units of the cell vectors:
Mg  0.093  0.093  0.093
Mg  0.202  0.991  0.318
Mg  0.450  0.273  0.550
Mg  0.273  0.550  0.450
Ag  0.933  0.383  0.617
Mg  0.214  0.214  0.786
Mg  0.798  0.682  0.511
Mg  0.798  0.511  0.009
Ag  0.933  0.067  0.383
Mg  0.511  0.682  0.009
Ag  0.383  0.067  0.617
Mg  0.907  0.907  0.280
Ag  0.500  0.500  0.500
Mg  0.009  0.511  0.682
Mg  0.727  0.450  0.550
Mg  0.202  0.318  0.489
Mg  0.489  0.991  0.202
Mg  0.550  0.273  0.727
Ag  0.000  0.000  0.000
Mg  0.489  0.318  0.991
Ag  0.617  0.933  0.383
Mg  0.786  0.786  0.214
Mg  0.318  0.489  0.202
Mg  0.318  0.202  0.991
Mg  0.450  0.727  0.273
Mg  0.250  0.250  0.250
Mg  0.511  0.798  0.682
Mg  0.991  0.489  0.318
Ag  0.383  0.617  0.933
Mg  0.202  0.489  0.991
Mg  0.489  0.202  0.318
Mg  0.511  0.009  0.798
Mg  0.991  0.202  0.489
Mg  0.214  0.786  0.786
Mg  0.009  0.798  0.511
Mg  0.727  0.273  0.450
Mg  0.727  0.550  0.273
Mg  0.214  0.786  0.214
Ag  0.933  0.617  0.067
Mg  0.786  0.214  0.786
Ag  0.617  0.383  0.067
Mg  0.720  0.093  0.093
Mg  0.550  0.727  0.450
Mg  0.093  0.093  0.720
Mg  0.786  0.214  0.214
Mg  0.280  0.907  0.907
Mg  0.750  0.750  0.750
Mg  0.009  0.682  0.798
Mg  0.682  0.009  0.511
Mg  0.991  0.318  0.202
Ag  0.067  0.933  0.617
Mg  0.798  0.009  0.682
Mg  0.450  0.550  0.727
Ag  0.067  0.383  0.933
Ag  0.383  0.933  0.067
Mg  0.550  0.450  0.273
Mg  0.273  0.450  0.727
Mg  0.907  0.907  0.907
Mg  0.682  0.798  0.009
Ag  0.617  0.067  0.933
Mg  0.093  0.720  0.093
Mg  0.273  0.727  0.550
Mg  0.318  0.991  0.489
Ag  0.067  0.617  0.383
Mg  0.682  0.511  0.798
Mg  0.907  0.280  0.907

Output
Final energy = -1.98 eV per atom
Space-group type = No. 202
Spin magnetization = 0.05 μB per formula unit
Calculated formation energy = -0.11 eV/atom